Record 1
Computed, not measured: crystalline CsBr at its relaxed geometry at the r2SCAN level of DFT.

- ΔE_f (eV/atom) = -2.014
- total energy (eV per atom) = -21.198

Structure (POSCAR):
```
CsBr
1.0
4.326 0.000 0.000
0.000 4.326 0.000
0.000 0.000 4.326
Br Cs
1 1
direct
0.500 0.500 0.500 Br
0.000 0.000 0.000 Cs
```

---

Record 2
Computed, not measured: crystalline CsBr at its relaxed geometry at the r2SCAN level of DFT.

- ΔE_f (eV/atom) = -2.009
- total energy (eV per atom) = -21.193

Structure (POSCAR):
```
CsBr
1.0
0.619 2.856 4.274
2.810 -1.824 3.948
4.616 2.086 1.074
Br Cs
1 1
direct
0.500 0.500 0.500 Br
0.000 0.000 0.000 Cs
```

---

Record 3
Computed, not measured: crystalline CsBr3 at its relaxed geometry at the r2SCAN level of DFT.

- ΔE_f (eV/atom) = -1.098
- total energy (eV per atom) = -17.319

Structure (POSCAR):
```
CsBr3
1.0
6.639 0.000 0.000
0.000 9.684 0.000
0.000 0.000 10.056
Cs Br
4 12
direct
0.750 0.958 0.315 Cs
0.750 0.542 0.815 Cs
0.250 0.042 0.685 Cs
0.250 0.458 0.185 Cs
0.750 0.883 0.676 Br
0.250 0.117 0.324 Br
0.250 0.761 0.942 Br
0.750 0.437 0.375 Br
0.750 0.239 0.058 Br
0.750 0.261 0.558 Br
0.750 0.617 0.176 Br
0.250 0.937 0.125 Br
0.250 0.563 0.625 Br
0.250 0.383 0.824 Br
0.750 0.063 0.875 Br
0.250 0.739 0.442 Br
```

---

Record 4
Computed, not measured: crystalline Cs3Cu2Br5 at its relaxed geometry at the r2SCAN level of DFT.

- ΔE_f (eV/atom) = -1.388
- total energy (eV per atom) = -17.719

Structure (POSCAR):
```
Cs3Cu2Br5
1.0
-6.643 -4.398 -5.503
-3.341 -5.854 8.712
-9.009 9.740 3.090
Cu Br Cs
8 20 12
direct
0.793 0.750 0.453 Cu
0.746 0.750 0.631 Cu
0.254 0.250 0.369 Cu
0.246 0.750 0.869 Cu
0.207 0.250 0.547 Cu
0.293 0.750 0.047 Cu
0.754 0.250 0.131 Cu
0.707 0.250 0.953 Cu
0.703 0.750 0.290 Br
0.534 0.750 0.012 Br
0.808 0.063 0.052 Br
0.332 0.750 0.709 Br
0.192 0.937 0.948 Br
0.797 0.250 0.790 Br
0.692 0.563 0.552 Br
0.308 0.437 0.448 Br
0.692 0.937 0.552 Br
0.192 0.563 0.948 Br
0.966 0.250 0.512 Br
0.668 0.250 0.291 Br
0.203 0.750 0.210 Br
0.466 0.250 0.988 Br
0.168 0.250 0.209 Br
0.808 0.437 0.052 Br
0.832 0.750 0.791 Br
0.308 0.063 0.448 Br
0.034 0.750 0.488 Br
0.297 0.250 0.710 Br
0.453 0.488 0.177 Cs
0.453 0.012 0.177 Cs
0.047 0.988 0.677 Cs
0.547 0.988 0.823 Cs
0.953 0.012 0.323 Cs
0.597 0.250 0.548 Cs
0.547 0.512 0.823 Cs
0.403 0.750 0.452 Cs
0.047 0.512 0.677 Cs
0.903 0.750 0.048 Cs
0.097 0.250 0.952 Cs
0.953 0.488 0.323 Cs
```

---

Record 5
Computed, not measured: crystalline Cs3Er2Br9 at its relaxed geometry at the r2SCAN level of DFT.

- ΔE_f (eV/atom) = -2.166
- total energy (eV per atom) = -20.917

Structure (POSCAR):
```
Cs3Er2Br9
1.0
7.617 -6.833 -0.049
7.617 6.832 -0.049
1.553 0.000 10.114
Br Er Cs
18 4 6
direct
0.417 0.764 0.582 Br
0.083 0.918 0.736 Br
0.750 0.906 0.594 Br
0.583 0.236 0.418 Br
0.594 0.750 0.906 Br
0.236 0.418 0.583 Br
0.917 0.082 0.264 Br
0.082 0.264 0.917 Br
0.418 0.583 0.236 Br
0.094 0.406 0.250 Br
0.918 0.736 0.083 Br
0.906 0.594 0.750 Br
0.736 0.083 0.918 Br
0.764 0.582 0.417 Br
0.406 0.250 0.094 Br
0.264 0.917 0.082 Br
0.582 0.417 0.764 Br
0.250 0.094 0.406 Br
0.152 0.152 0.152 Er
0.348 0.348 0.348 Er
0.652 0.652 0.652 Er
0.848 0.848 0.848 Er
0.910 0.250 0.590 Cs
0.410 0.090 0.750 Cs
0.750 0.410 0.090 Cs
0.590 0.910 0.250 Cs
0.250 0.590 0.910 Cs
0.090 0.750 0.410 Cs
```

---

Record 6
Computed, not measured: crystalline CsBr2F7 at its relaxed geometry at the r2SCAN level of DFT.

- ΔE_f (eV/atom) = -1.407
- total energy (eV per atom) = -8.758

Structure (POSCAR):
```
CsBr2F7
1.0
7.636 0.000 -0.027
0.000 8.047 0.000
-7.550 0.000 12.015
F Cs Br
28 4 8
direct
0.270 0.722 0.347 F
0.916 0.267 0.957 F
0.084 0.767 0.543 F
0.417 0.082 0.596 F
0.953 0.025 0.845 F
0.916 0.233 0.457 F
0.084 0.733 0.043 F
0.766 0.845 0.613 F
0.390 0.386 0.700 F
0.610 0.614 0.300 F
0.234 0.155 0.387 F
0.467 0.615 0.581 F
0.730 0.278 0.653 F
0.583 0.918 0.404 F
0.730 0.222 0.153 F
0.047 0.525 0.655 F
0.417 0.418 0.096 F
0.390 0.114 0.200 F
0.047 0.975 0.155 F
0.270 0.778 0.847 F
0.610 0.886 0.800 F
0.953 0.475 0.345 F
0.533 0.385 0.419 F
0.234 0.345 0.887 F
0.583 0.582 0.904 F
0.467 0.885 0.081 F
0.533 0.115 0.919 F
0.766 0.655 0.113 F
0.122 0.084 0.690 Cs
0.122 0.416 0.190 Cs
0.878 0.584 0.810 Cs
0.878 0.916 0.310 Cs
0.519 0.779 0.481 Br
0.481 0.221 0.519 Br
0.519 0.721 0.981 Br
0.239 0.925 0.121 Br
0.761 0.425 0.379 Br
0.481 0.279 0.019 Br
0.761 0.075 0.879 Br
0.239 0.575 0.621 Br
```